[1]
# CaCu2W2O8, optimized geometry, DFT PBE+U
data_CaCu2W2O8
_chemical_formula_sum 'Ca4 Cu8 W8 O32'
_cell_length_a 6.802
_cell_length_b 9.059
_cell_length_c 13.189
_cell_angle_alpha 90.00
_cell_angle_beta 90.70
_cell_angle_gamma 90.00
_space_group_name_H-M_alt 'P 1 21/c 1'
_space_group_IT_number 14
loop_
_space_group_symop_operation_xyz
'x,y,z'
'-x,-y,-z'
'-x,y+1/2,-z+1/2'
'x,-y+1/2,z+1/2'
loop_
_atom_site_label
_atom_site_type_symbol
_atom_site_fract_x
_atom_site_fract_y
_atom_site_fract_z
Ca1 Ca 0.122 0.164 0.453
Cu1 Cu 0.235 0.690 0.861
Cu2 Cu 0.387 0.049 0.879
W1 W 0.094 0.042 0.155
W2 W 0.393 0.577 0.137
O1 O 0.025 0.229 0.109
O2 O 0.089 0.095 0.889
O3 O 0.121 0.038 0.293
O4 O 0.189 0.566 0.044
O5 O 0.307 0.619 0.264
O6 O 0.332 0.503 0.604
O7 O 0.435 0.220 0.403
O8 O 0.489 0.602 0.866
# Calculated formation energy = -1.95 eV/atom
# Total DFT energy (no corrections) = -6.6676 eV/atom
# Calculated density = 5.42 g/cm3
# Energy with MP2020 corrections = -7.77 eV per atom

=====

[2]
# Li3V2CoO6, optimized geometry, DFT PBE+U
data_Li3V2CoO6
_chemical_formula_sum 'Li6 V4 Co2 O12'
_cell_length_a 12.833
_cell_length_b 3.004
_cell_length_c 5.992
_cell_angle_alpha 90.00
_cell_angle_beta 104.66
_cell_angle_gamma 90.00
_space_group_name_H-M_alt 'C 1 2/m 1'
_space_group_IT_number 12
loop_
_space_group_symop_operation_xyz
'x,y,z'
'-x,-y,-z'
'-x,y,-z'
'x,-y,z'
'x+1/2,y+1/2,z'
'-x+1/2,-y+1/2,-z'
'-x+1/2,y+1/2,-z'
'x+1/2,-y+1/2,z'
loop_
_atom_site_label
_atom_site_type_symbol
_atom_site_fract_x
_atom_site_fract_y
_atom_site_fract_z
Li1 Li 0.000 0.000 0.000
Li2 Li 0.164 0.500 0.335
V1 V 0.163 0.500 0.826
Co1 Co 0.000 0.000 0.500
O1 O 0.009 0.500 0.754
O2 O 0.168 0.000 0.601
O3 O 0.173 0.000 0.066
# Calculated formation energy = -1.94 eV/atom
# Total DFT energy (no corrections) = -6.2389 eV/atom
# Calculated density = 4.13 g/cm3
# Energy with MP2020 corrections = -7.00 eV per atom